i:
IrAuN5Cl6 after structural relaxation, computed with PBE.

The space group is C2/m (No. 12) and the conventional cell measures 14.076, 8.208 and 11.898 Å, with angles of 90.00, 112.32 and 90.00 degrees. The asymmetric unit holds Ir at (0.234, 0.000, 0.249), Au at (0.000, 0.000, 0.500), Au at (0.000, 0.500, 0.000), N at (0.134, 0.343, 0.764), N at (0.168, 0.167, 0.290), N at (0.182, 0.000, 0.088), Cl at (0.000, 0.217, 0.000), Cl at (0.008, 0.000, 0.308), Cl at (0.075, 0.500, 0.766), Cl at (0.146, 0.500, 0.539), Cl at (0.175, 0.500, 0.109) and Cl at (0.177, 0.000, 0.583).

Its spin magnetization is 3.00 μB/f.u.



ii:
IrAuN5Cl6 after structural relaxation, computed with PBE.

The space group is C2/m (No. 12) and the conventional cell measures 15.419, 8.578 and 10.729 Å, with angles of 90.00, 108.31 and 90.00 degrees. The asymmetric unit holds Ir at (0.250, 0.000, 0.226), Au at (0.000, 0.000, 0.500), Au at (0.000, 0.500, 0.000), N at (0.162, 0.162, 0.276), N at (0.184, 0.500, 0.553), N at (0.192, 0.323, 0.772), Cl at (0.000, 0.269, 0.500), Cl at (0.018, 0.000, 0.293), Cl at (0.021, 0.500, 0.797), Cl at (0.144, 0.000, 0.022), Cl at (0.157, 0.500, 0.101) and Cl at (0.247, 0.500, 0.460).

Its spin magnetization is 5.00 μB/f.u.



Stability check: which of them is most stable? i.